(1)
# Na3Ca3GaS6O24, optimized geometry, DFT PBE-GGA
data_Na3Ca3GaS6O24
_space_group_name_H-M_alt 'P 1'
_space_group_IT_number 1
_cell_length_a 9.0324
_cell_length_b 9.0640
_cell_length_c 23.5669
_cell_angle_alpha 89.79
_cell_angle_beta 89.84
_cell_angle_gamma 60.14
loop_
_space_group_symop_operation_xyz
'x,y,z'
loop_
_atom_site_label
_atom_site_fract_x
_atom_site_fract_y
_atom_site_fract_z
_atom_site_occupancy
Na1 0.0000 0.0000 0.0000 1
Na2 0.0001 0.0341 0.4778 1
Na3 0.0354 0.6868 0.5704 1
Na4 0.3339 0.3507 0.1589 1
Na5 0.3342 0.9894 0.9068 1
Na6 0.3493 0.3347 0.6565 1
Na7 0.6669 0.6838 0.3201 1
Na8 0.6826 0.6842 0.8127 1
Na9 0.6939 0.3510 0.9069 1
Ca1 0.0001 0.0256 0.6412 1
Ca2 0.0007 0.0083 0.8283 1
Ca3 0.0012 0.0189 0.1411 1
Ca4 0.3280 0.3569 0.8015 1
Ca5 0.3286 0.3554 0.0142 1
Ca6 0.3333 0.3515 0.3048 1
Ca7 0.3459 0.3370 0.5003 1
Ca8 0.6618 0.6840 0.4667 1
Ca9 0.6764 0.6835 0.9761 1
Ga1 0.0006 0.0171 0.3341 1
Ga2 0.6624 0.6830 0.6701 1
Ga3 0.6669 0.6838 0.1747 1
S1 0.0319 0.6729 0.4036 1
S2 0.0336 0.3446 0.9053 1
S3 0.3072 0.7290 0.2392 1
S4 0.3139 0.0479 0.4005 1
S5 0.3275 0.9981 0.7370 1
S6 0.3347 0.6531 0.9064 1
S7 0.3787 0.6788 0.5774 1
S8 0.3807 0.9718 0.0764 1
S9 0.6313 0.0557 0.9058 1
S10 0.6579 0.3295 0.4004 1
S11 0.6652 0.9679 0.5776 1
S12 0.6666 0.3962 0.0768 1
S13 0.6934 0.3426 0.7371 1
S14 0.7126 0.9988 0.2394 1
S15 0.9540 0.4036 0.5764 1
S16 0.9573 0.6824 0.0799 1
S17 0.9826 0.3237 0.2393 1
S18 0.9825 0.7095 0.7317 1
O1 0.0036 0.7925 0.6813 1
O2 0.0053 0.2248 0.1883 1
O3 0.0198 0.1859 0.9018 1
O4 0.0199 0.8439 0.3948 1
O5 0.1154 0.3619 0.8537 1
O6 0.1233 0.3968 0.5753 1
O7 0.1236 0.6050 0.4588 1
O8 0.1259 0.5587 0.3568 1
O9 0.1267 0.5258 0.0811 1
O10 0.1304 0.3492 0.2459 1
O11 0.1328 0.5369 0.7368 1
O12 0.1343 0.3281 0.9563 1
O13 0.1544 0.0349 0.3931 1
O14 0.1862 0.8295 0.9024 1
O15 0.2042 0.8296 0.5816 1
O16 0.2081 0.8059 0.1882 1
O17 0.2101 0.9881 0.0799 1
O18 0.2137 0.0176 0.6901 1
O19 0.2222 0.8371 0.2910 1
O20 0.2585 0.9755 0.7920 1
O21 0.2882 0.1441 0.4541 1
O22 0.3194 0.5708 0.9580 1
O23 0.3320 0.5568 0.2461 1
O24 0.3365 0.1351 0.3521 1
O25 0.3518 0.1477 0.7390 1
O26 0.3520 0.5523 0.8555 1
O27 0.3597 0.5243 0.5764 1
O28 0.3679 0.1410 0.0786 1
O29 0.4525 0.8902 0.0208 1
O30 0.4594 0.6939 0.5258 1
O31 0.4624 0.8742 0.4050 1
O32 0.4804 0.6669 0.6294 1
O33 0.4816 0.7165 0.2343 1
O34 0.4920 0.8694 0.1248 1
O35 0.4938 0.6674 0.9087 1
O36 0.4980 0.8399 0.7297 1
O37 0.5097 0.3829 0.0793 1
O38 0.5137 0.1401 0.5759 1
O39 0.5197 0.3657 0.7392 1
O40 0.5281 0.1394 0.8549 1
O41 0.5398 0.1459 0.2463 1
O42 0.5481 0.1575 0.9569 1
O43 0.5484 0.3514 0.3521 1
O44 0.5870 0.3033 0.4541 1
O45 0.6453 0.8851 0.9091 1
O46 0.6486 0.8803 0.6296 1
O47 0.6589 0.5070 0.1250 1
O48 0.6762 0.4681 0.0211 1
O49 0.6811 0.5130 0.7294 1
O50 0.6832 0.8696 0.5264 1
O51 0.6836 0.4779 0.4048 1
O52 0.7001 0.8379 0.2351 1
O53 0.7852 0.2741 0.7919 1
O54 0.7868 0.2294 0.6900 1
O55 0.7895 0.0215 0.1884 1
O56 0.8027 0.0412 0.9014 1
O57 0.8202 0.2261 0.0802 1
O58 0.8210 0.4963 0.2347 1
O59 0.8219 0.9759 0.2911 1
O60 0.8245 0.6948 0.7273 1
O61 0.8247 0.9778 0.5823 1
O62 0.8302 0.1706 0.3931 1
O63 0.8566 0.4923 0.9082 1
O64 0.8576 0.6973 0.4063 1
O65 0.8594 0.4835 0.5246 1
O66 0.8592 0.6730 0.1298 1
O67 0.8632 0.5100 0.6277 1
O68 0.8710 0.6937 0.0259 1
O69 0.9588 0.8105 0.7837 1
O70 0.9599 0.2374 0.2910 1
O71 0.9759 0.8348 0.0823 1
O72 0.9776 0.2317 0.5816 1
# **Formation enthalpy at 0 K**: -2.337 eV/atom
# **Energy**: -679.69 eV per cell
# **Calculated volume**: 15.074 Å³/atom
# **Crystal system**: triclinic

(2)
# Na4Ca2Ga2SiS5O24, optimized geometry, DFT PBE-GGA
data_Na4Ca2Ga2SiS5O24
_space_group_name_H-M_alt 'P 1'
_space_group_IT_number 1
_cell_length_a 8.9745
_cell_length_b 8.9934
_cell_length_c 22.8285
_cell_angle_alpha 89.56
_cell_angle_beta 89.58
_cell_angle_gamma 60.23
loop_
_space_group_symop_operation_xyz
'x,y,z'
loop_
_atom_site_label
_atom_site_fract_x
_atom_site_fract_y
_atom_site_fract_z
_atom_site_occupancy
Na1 0.0000 0.0000 0.0000 1
Na2 0.0012 0.6432 0.2541 1
Na3 0.0247 0.2861 0.8428 1
Na4 0.3132 0.3075 0.3272 1
Na5 0.3247 0.9765 0.9150 1
Na6 0.3352 0.9404 0.4070 1
Na7 0.3624 0.6268 0.4890 1
Na8 0.6333 0.6242 0.0060 1
Na9 0.6574 0.2904 0.0899 1
Na10 0.6631 0.2914 0.5796 1
Na11 0.9577 0.9608 0.6777 1
Na12 0.9914 0.6477 0.7599 1
Ca1 0.3219 0.9775 0.0640 1
Ca2 0.3354 0.9647 0.5605 1
Ca3 0.6579 0.3009 0.2382 1
Ca4 0.6633 0.2987 0.4230 1
Ca5 0.6656 0.2836 0.7402 1
Ca6 0.9919 0.6201 0.6066 1
Ga1 0.0072 0.6277 0.9020 1
Ga2 0.3275 0.9417 0.2649 1
Ga3 0.3268 0.9495 0.7716 1
Ga4 0.6915 0.2832 0.9289 1
Ga5 0.9931 0.6342 0.3982 1
Ga6 0.9984 0.6018 0.1033 1
Si1 0.3413 0.6129 0.3375 1
Si2 0.9776 0.9744 0.8338 1
Si3 0.9865 0.3473 0.9946 1
S1 0.0337 0.9417 0.1633 1
S2 0.0448 0.2476 0.6744 1
S3 0.2872 0.3371 0.4960 1
S4 0.2907 0.6105 0.0017 1
S5 0.3171 0.2668 0.1684 1
S6 0.3313 0.6685 0.6700 1
S7 0.3668 0.2926 0.8392 1
S8 0.6156 0.9576 0.6749 1
S9 0.6352 0.6699 0.1637 1
S10 0.6604 0.5995 0.8367 1
S11 0.6598 0.9754 0.3323 1
S12 0.7092 0.6225 0.4960 1
S13 0.7203 0.9165 0.9986 1
S14 0.9844 0.2892 0.3324 1
S15 0.9913 0.9204 0.5007 1
O1 0.9999 0.4467 0.3409 1
O2 0.0041 0.7837 0.8483 1
O3 0.0267 0.4189 0.6756 1
O4 0.0269 0.7775 0.1617 1
O5 0.1047 0.9626 0.1074 1
O6 0.1348 0.1490 0.6221 1
O7 0.1394 0.1583 0.7296 1
O8 0.1441 0.6372 0.3440 1
O9 0.1454 0.1530 0.9953 1
O10 0.1470 0.9257 0.2139 1
O11 0.1524 0.4394 0.1661 1
O12 0.1569 0.9227 0.4966 1
O13 0.1653 0.1442 0.3225 1
O14 0.1661 0.9729 0.8296 1
O15 0.1668 0.6645 0.6735 1
O16 0.1809 0.6464 0.9495 1
O17 0.1878 0.4400 0.8461 1
O18 0.1894 0.4309 0.4425 1
O19 0.2014 0.4313 0.5495 1
O20 0.2058 0.5952 0.0557 1
O21 0.3040 0.1656 0.4942 1
O22 0.3043 0.1780 0.2226 1
O23 0.3175 0.7620 0.0053 1
O24 0.3204 0.8020 0.3211 1
O25 0.3209 0.7786 0.7209 1
O26 0.3301 0.1717 0.1157 1
O27 0.3396 0.7458 0.6138 1
O28 0.3505 0.1342 0.8369 1
O29 0.4304 0.3210 0.7842 1
O30 0.4308 0.4657 0.2882 1
O31 0.4450 0.5521 0.3985 1
O32 0.4602 0.3223 0.4957 1
O33 0.4612 0.4546 0.9955 1
O34 0.4661 0.2928 0.1706 1
O35 0.4785 0.2753 0.8903 1
O36 0.4802 0.4967 0.6743 1
O37 0.4958 0.9725 0.3212 1
O38 0.5063 0.7730 0.8307 1
O39 0.5179 0.9566 0.7285 1
O40 0.5309 0.9564 0.6207 1
O41 0.5341 0.7764 0.4920 1
O42 0.5399 0.7811 0.2147 1
O43 0.5457 0.7429 0.1081 1
O44 0.5513 0.9258 0.0024 1
O45 0.6237 0.0839 0.3846 1
O46 0.6298 0.5221 0.8915 1
O47 0.6354 0.1119 0.6732 1
O48 0.6606 0.4962 0.1702 1
O49 0.6884 0.4900 0.7864 1
O50 0.6896 0.4677 0.4966 1
O51 0.6978 0.0930 0.9923 1
O52 0.7054 0.0445 0.2814 1
O53 0.7907 0.8043 0.6787 1
O54 0.7915 0.6244 0.5505 1
O55 0.8003 0.7968 0.3432 1
O56 0.8051 0.3304 0.9909 1
O57 0.8048 0.8126 0.9462 1
O58 0.8084 0.6233 0.4434 1
O59 0.8076 0.6627 0.1630 1
O60 0.8168 0.6152 0.8419 1
O61 0.8261 0.8429 0.0521 1
O62 0.8435 0.0943 0.4958 1
O63 0.8610 0.0901 0.1711 1
O64 0.8731 0.2602 0.6738 1
O65 0.8766 0.0387 0.7732 1
O66 0.8786 0.3161 0.2812 1
O67 0.8816 0.1194 0.8878 1
O68 0.9198 0.2481 0.3858 1
O69 0.9502 0.4687 0.0534 1
O70 0.9826 0.8486 0.5584 1
O71 0.9980 0.4458 0.9359 1
O72 0.9981 0.8081 0.4519 1
# **Formation enthalpy at 0 K**: -2.310 eV/atom
# **Energy**: -694.57 eV per cell
# **Calculated volume**: 14.029 Å³/atom
# **Crystal system**: triclinic

> Number 2 is which compound?

Na4Ca2Ga2SiS5O24